Record 1
An optimized crystal structure of Nb3GaSi3S3O24. Source: the Materials Project database, functional PBE.

```
Nb3GaSi3S3O24
1.0
8.8265 0.0000 0.0000
-4.4096 7.6839 0.0000
-0.2781 -0.2678 22.7759
Nb Ga Si S O
9 3 9 9 72
direct
0.0000 0.0000 0.0000
0.0006 0.9810 0.7135
0.0040 0.0010 0.4955
0.0093 0.0181 0.2119
0.3300 0.6547 0.3351
0.3353 0.6834 0.5449
0.3469 0.6756 0.8285
0.6672 0.3312 0.6628
0.6752 0.3482 0.1630
0.3403 0.6552 0.0473
0.6604 0.3210 0.3837
0.6679 0.3445 0.8711
0.0047 0.7147 0.6041
0.0144 0.2995 0.1043
0.0427 0.3815 0.4388
0.3483 0.9645 0.4367
0.3976 0.0641 0.7741
0.4017 0.3385 0.2758
0.6787 0.6136 0.7748
0.7184 0.7231 0.1044
0.7275 0.0018 0.6044
0.0560 0.6640 0.9397
0.2923 0.2903 0.6051
0.2954 0.9978 0.1047
0.3490 0.3840 0.9394
0.6257 0.9618 0.9393
0.6282 0.6643 0.4385
0.6741 0.0507 0.2728
0.9600 0.3337 0.7741
0.9617 0.6249 0.2727
0.0352 0.1951 0.4491
0.0411 0.8261 0.9474
0.0427 0.1989 0.1612
0.0428 0.8371 0.6634
0.1396 0.4952 0.7837
0.1402 0.6427 0.2779
0.1421 0.6439 0.9927
0.1534 0.5051 0.4949
0.1674 0.6951 0.8870
0.1705 0.9723 0.4496
0.1765 0.4851 0.0932
0.1778 0.6937 0.5979
0.1786 0.4725 0.3815
0.1895 0.2067 0.9477
0.1895 0.9731 0.1573
0.1918 0.2141 0.6582
0.2050 0.0390 0.7618
0.2062 0.1678 0.2606
0.2173 0.0349 0.0517
0.2171 0.1800 0.5521
0.3138 0.4624 0.8868
0.3163 0.8469 0.0950
0.3174 0.8320 0.3806
0.3208 0.4665 0.5971
0.3649 0.8608 0.7857
0.3725 0.8641 0.4948
0.3748 0.5085 0.2824
0.3762 0.4932 0.9919
0.4701 0.3057 0.6117
0.4716 0.1569 0.1133
0.4805 0.1656 0.8344
0.4955 0.3106 0.3306
0.5028 0.3629 0.9322
0.5056 0.6403 0.7860
0.5154 0.3605 0.2153
0.5163 0.1485 0.4327
0.5169 0.1418 0.7162
0.5219 0.8804 0.9912
0.5234 0.8738 0.2789
0.5243 0.6408 0.4911
0.5347 0.7065 0.0919
0.5391 0.8274 0.5946
0.5466 0.8459 0.8862
0.5480 0.6983 0.3852
0.6449 0.4973 0.7162
0.6509 0.1305 0.2190
0.6549 0.5178 0.4304
0.6584 0.1379 0.9301
0.7030 0.1707 0.6168
0.7059 0.5318 0.1146
0.7160 0.1589 0.3249
0.7215 0.5453 0.8338
0.8025 0.8277 0.4440
0.8049 0.9726 0.9461
0.8242 0.8406 0.1617
0.8255 0.9836 0.6631
0.8352 0.0290 0.2633
0.8358 0.3025 0.1189
0.8391 0.5245 0.6177
0.8399 0.8125 0.7645
0.8491 0.0350 0.5477
0.8515 0.8123 0.0473
0.8581 0.3058 0.8272
0.8597 0.5514 0.3239
0.8650 0.3736 0.4229
0.8820 0.5109 0.9311
0.8828 0.5126 0.2184
0.8889 0.3723 0.7212
0.9796 0.8110 0.5482
0.9837 0.1644 0.0479
0.9880 0.8015 0.2612
0.9916 0.1878 0.7650
```

E_form in meV per atom: -2561
Crystal system: triclinic
Theoretical density in g/cm³: 2.9
Spin magnetization in μB/cell: 0.0

***

Record 2
An optimized crystal structure of CeFeCu. Source: the Materials Project database, functional PBE.

```
CeFeCu
1.0
-2.4535 2.6112 3.7850
2.4535 -2.6112 3.7850
2.4535 2.6112 -3.7850
Ce Fe Cu
2 2 2
direct
0.3834 0.1334 0.2500
0.6166 0.8666 0.7500
0.0000 0.5000 0.5000
0.5000 0.5000 0.0000
0.0000 0.0000 0.5000
0.0000 0.5000 0.0000
```

E_form in meV per atom: -33
Crystal system: orthorhombic
Theoretical density in g/cm³: 8.9
Spin magnetization in μB/cell: 0.8

***

Energy / Ry/atom: -0.543 -0.456